[1]
DFT (PBE) results for crystalline Na4Al3Si3NO12 at its relaxed geometry.

```
data_Na4Al3Si3NO12
_chemical_formula_sum 'Na8 Al6 Si6 N2 O24'
_cell_length_a 8.917
_cell_length_b 8.917
_cell_length_c 8.917
_cell_angle_alpha 90.00
_cell_angle_beta 90.00
_cell_angle_gamma 90.00
_symmetry_space_group_name_H-M 'P 1'
_symmetry_Int_Tables_number 1
_symmetry_space_group_name_Hall 'P 1'
loop_
_atom_site_label
_atom_site_type_symbol
_atom_site_fract_x
_atom_site_fract_y
_atom_site_fract_z
_atom_site_occupancy
Na1 Na 0.171 0.171 0.171 1
Na2 Na 0.171 0.829 0.829 1
Na3 Na 0.329 0.329 0.671 1
Na4 Na 0.329 0.671 0.329 1
Na5 Na 0.671 0.329 0.329 1
Na6 Na 0.671 0.671 0.671 1
Na7 Na 0.829 0.171 0.829 1
Na8 Na 0.829 0.829 0.171 1
Al1 Al 0.000 0.250 0.500 1
Al2 Al 0.000 0.750 0.500 1
Al3 Al 0.250 0.500 0.000 1
Al4 Al 0.500 0.000 0.250 1
Al5 Al 0.500 0.000 0.750 1
Al6 Al 0.750 0.500 0.000 1
Si1 Si 0.000 0.500 0.250 1
Si2 Si 0.000 0.500 0.750 1
Si3 Si 0.250 0.000 0.500 1
Si4 Si 0.500 0.250 0.000 1
Si5 Si 0.500 0.750 0.000 1
Si6 Si 0.750 0.000 0.500 1
N1 N 0.000 0.000 0.000 1
N2 N 0.500 0.500 0.500 1
O1 O 0.067 0.362 0.648 1
O2 O 0.067 0.638 0.352 1
O3 O 0.138 0.433 0.148 1
O4 O 0.138 0.567 0.852 1
O5 O 0.148 0.138 0.433 1
O6 O 0.148 0.862 0.567 1
O7 O 0.352 0.067 0.638 1
O8 O 0.352 0.933 0.362 1
O9 O 0.362 0.352 0.933 1
O10 O 0.362 0.648 0.067 1
O11 O 0.433 0.148 0.138 1
O12 O 0.433 0.852 0.862 1
O13 O 0.567 0.148 0.862 1
O14 O 0.567 0.852 0.138 1
O15 O 0.638 0.352 0.067 1
O16 O 0.638 0.648 0.933 1
O17 O 0.648 0.067 0.362 1
O18 O 0.648 0.933 0.638 1
O19 O 0.852 0.138 0.567 1
O20 O 0.852 0.862 0.433 1
O21 O 0.862 0.433 0.852 1
O22 O 0.862 0.567 0.148 1
O23 O 0.933 0.362 0.352 1
O24 O 0.933 0.638 0.648 1
```

Computed properties:
Its space-group type is P-43n, No. 218. The volume comes out at 15.42 Å³ per atom. The value obtained for the formation energy is -2748.6 meV per atom. For the total energy, the calculation gives -6.760 eV per atom. The MP2020-corrected energy is -7.12 eV per atom. As for the crystal system: cubic.

[2]
DFT (PBE) results for crystalline RuN2Cl4O at its relaxed geometry.

```
data_RuN2Cl4O
_chemical_formula_sum 'Ru2 N4 Cl8 O2'
_cell_length_a 8.159
_cell_length_b 8.159
_cell_length_c 9.138
_cell_angle_alpha 95.50
_cell_angle_beta 95.50
_cell_angle_gamma 53.26
_symmetry_space_group_name_H-M 'P 1'
_symmetry_Int_Tables_number 1
_symmetry_space_group_name_Hall 'P 1'
loop_
_atom_site_label
_atom_site_type_symbol
_atom_site_fract_x
_atom_site_fract_y
_atom_site_fract_z
_atom_site_occupancy
Ru1 Ru 0.101 0.101 0.406 1
Ru2 Ru 0.899 0.899 0.594 1
N1 N 0.000 0.000 0.500 1
N2 N 0.157 0.157 0.930 1
N3 N 0.500 0.500 0.500 1
N4 N 0.843 0.843 0.070 1
Cl1 Cl 0.022 0.637 0.170 1
Cl2 Cl 0.153 0.688 0.753 1
Cl3 Cl 0.312 0.847 0.247 1
Cl4 Cl 0.363 0.978 0.830 1
Cl5 Cl 0.637 0.022 0.170 1
Cl6 Cl 0.688 0.153 0.753 1
Cl7 Cl 0.847 0.312 0.247 1
Cl8 Cl 0.978 0.363 0.830 1
O1 O 0.206 0.206 0.507 1
O2 O 0.794 0.794 0.493 1
```

Computed properties:
Its space-group type is C2/m, No. 12. The volume comes out at 30.29 Å³ per atom. The value obtained for the formation energy is 349.7 meV per atom. For the total energy, the calculation gives -4.351 eV per atom. The MP2020-corrected energy is -4.44 eV per atom. As for the crystal system: monoclinic.

[3]
DFT (PBE) results for crystalline Eu2ZnP2 at its relaxed geometry.

```
data_Eu2ZnP2
_chemical_formula_sum 'Eu4 Zn2 P4'
_cell_length_a 8.161
_cell_length_b 8.161
_cell_length_c 7.245
_cell_angle_alpha 90.00
_cell_angle_beta 90.00
_cell_angle_gamma 150.56
_symmetry_space_group_name_H-M 'P 1'
_symmetry_Int_Tables_number 1
_symmetry_space_group_name_Hall 'P 1'
loop_
_atom_site_label
_atom_site_type_symbol
_atom_site_fract_x
_atom_site_fract_y
_atom_site_fract_z
_atom_site_occupancy
Eu1 Eu 0.036 0.964 0.500 1
Eu2 Eu 0.206 0.794 0.168 1
Eu3 Eu 0.794 0.206 0.668 1
Eu4 Eu 0.964 0.036 0.000 1
Zn1 Zn 0.406 0.594 0.351 1
Zn2 Zn 0.594 0.406 0.851 1
P1 P 0.168 0.832 0.773 1
P2 P 0.439 0.561 0.702 1
P3 P 0.561 0.439 0.202 1
P4 P 0.832 0.168 0.273 1
```

Computed properties:
Its space-group type is Cmc2_1, No. 36. The volume comes out at 23.72 Å³ per atom. The value obtained for the formation energy is -1005.0 meV per atom. For the total energy, the calculation gives -7.525 eV per atom. As for the crystal system: orthorhombic.

[4]
DFT (PBE) results for crystalline Ba2PuPaO6 at its relaxed geometry.

```
data_Ba2PuPaO6
_chemical_formula_sum 'Ba2 Pu1 Pa1 O6'
_cell_length_a 6.339
_cell_length_b 6.339
_cell_length_c 6.339
_cell_angle_alpha 60.00
_cell_angle_beta 60.00
_cell_angle_gamma 60.00
_symmetry_space_group_name_H-M 'P 1'
_symmetry_Int_Tables_number 1
_symmetry_space_group_name_Hall 'P 1'
loop_
_atom_site_label
_atom_site_type_symbol
_atom_site_fract_x
_atom_site_fract_y
_atom_site_fract_z
_atom_site_occupancy
Ba1 Ba 0.250 0.250 0.250 1
Ba2 Ba 0.750 0.750 0.750 1
Pu1 Pu 0.000 0.000 0.000 1
Pa1 Pa 0.500 0.500 0.500 1
O1 O 0.256 0.256 0.744 1
O2 O 0.256 0.744 0.256 1
O3 O 0.256 0.744 0.744 1
O4 O 0.744 0.256 0.256 1
O5 O 0.744 0.256 0.744 1
O6 O 0.744 0.744 0.256 1
```

Computed properties:
Its space-group type is Fm-3m, No. 225. The volume comes out at 18.01 Å³ per atom. The value obtained for the formation energy is -3555.6 meV per atom. For the total energy, the calculation gives -8.874 eV per atom. The MP2020-corrected energy is -9.29 eV per atom. As for the crystal system: cubic.